No. 1
{"formula": "ErCoO3", "functional": "PBE with a Hubbard U", "state": "relaxed", "energy_corrected_mp2020_ry_per_atom": -0.5852, "cell": [[-2.894, -2.718, -3.242], [2.216, -4.635, 1.907], [-5.297, -0.436, 5.095]], "species": ["O", "O", "O", "O", "Er", "Er", "Er", "O", "Er", "O", "Co", "Co", "Co", "Co", "O", "O", "O", "O", "O", "O"], "fractional_positions": [[0.310, 0.697, 0.948], [0.310, 0.697, 0.552], [0.690, 0.303, 0.052], [0.394, 0.968, 0.250], [0.022, 0.924, 0.750], [0.522, 0.576, 0.250], [0.978, 0.076, 0.250], [0.810, 0.803, 0.052], [0.478, 0.424, 0.750], [0.690, 0.303, 0.448], [0.500, 0.000, 0.000], [0.500, 0.000, 0.500], [0.000, 0.500, 0.500], [0.000, 0.500, 0.000], [0.190, 0.197, 0.552], [0.810, 0.803, 0.448], [0.606, 0.032, 0.750], [0.106, 0.468, 0.250], [0.894, 0.532, 0.750], [0.190, 0.197, 0.948]]}

---

No. 2
{"formula": "NaEuCo4O12", "functional": "PBE with a Hubbard U", "state": "relaxed", "energy_corrected_mp2020_ry_per_atom": -0.4847, "cell": [[3.490, -0.434, -3.868], [3.797, 0.440, 3.567], [0.043, -7.492, 0.879]], "species": ["O", "O", "O", "O", "Co", "O", "O", "Co", "O", "O", "O", "O", "O", "O", "Na", "Eu", "Co", "Co"], "fractional_positions": [[0.959, 0.464, 0.000], [0.461, 0.971, 0.500], [0.222, 0.778, 0.209], [0.536, 0.041, 0.000], [0.500, 0.003, 0.258], [0.786, 0.214, 0.714], [0.222, 0.778, 0.791], [0.997, 0.500, 0.742], [0.707, 0.707, 0.244], [0.293, 0.293, 0.756], [0.707, 0.707, 0.756], [0.293, 0.293, 0.244], [0.786, 0.214, 0.286], [0.029, 0.539, 0.500], [0.012, 0.988, 0.500], [0.487, 0.513, 0.000], [0.997, 0.500, 0.258], [0.500, 0.003, 0.742]]}

---

No. 3
{"formula": "Eu2Co2O5", "functional": "PBE with a Hubbard U", "state": "relaxed", "e_above_lowest_polymorph_mev_per_atom": 92, "energy_corrected_mp2020_ry_per_atom": -0.6478, "cell": [[3.891, 0.000, 0.000], [0.000, 3.891, 0.000], [0.000, 0.000, 7.553]], "species": ["O", "Eu", "O", "Co", "O", "Co", "O", "O", "Eu"], "fractional_positions": [[0.500, 0.000, 0.789], [0.000, 0.000, 0.500], [0.000, 0.500, 0.211], [0.500, 0.500, 0.761], [0.500, 0.000, 0.211], [0.500, 0.500, 0.239], [0.000, 0.500, 0.789], [0.500, 0.500, 0.500], [0.000, 0.000, 0.000]]}